KHg | meta-GGA r2SCAN | optimized geometry

Results
The calculation puts the energy at -223.63 eV for the cell shown. The calculated formation energy comes out at -50 kJ/mol of formula units.

Unit cell a=6.6316 b=6.7858 c=7.0663 alpha=106.77 beta=101.80 gamma=92.00
With the nearest neighbours (Å) after each atom.
Space group P-1 (No. 2)
Symmetry-distinct sites (fractional):
K (0.1691, 0.2994, 0.1468) x2  8 Hg 3.53-3.93, 1 K 3.84
K (0.2572, 0.8406, 0.5340) x2  7 Hg 3.56-3.87, 1 K 3.84
Hg (0.3000, 0.3982, 0.7082) x2  2 Hg 3.01-3.04
Hg (0.3829, 0.7994, 0.0485) x2  2 Hg 3.01-3.04